Record 1
The following is a PBE calculation of Ca4As3H9O16 after structural relaxation, from Materials Project.

Cell: 10.3302 5.8969 23.1609 Å, 82.94 90.00 90.00°
With the nearest neighbours (Å) after each atom.
Atoms (fractional coordinates):
Ca  0.2273  0.3299  0.5021  7 O 2.33-2.59
Ca  0.7273  0.6701  0.9979  7 O 2.33-2.59
Ca  0.7727  0.6701  0.4979  7 O 2.33-2.59
Ca  0.2727  0.3299  0.0021  7 O 2.33-2.59
Ca  0.3546  0.9955  0.6415  7 O 2.33-2.54
Ca  0.8546  0.0045  0.8585  7 O 2.33-2.54
Ca  0.6454  0.0045  0.3585  7 O 2.33-2.54
Ca  0.1454  0.9955  0.1415  7 O 2.33-2.54
Ca  0.8220  0.1141  0.6072  6 O 2.32-2.55
Ca  0.3220  0.8859  0.8928  6 O 2.32-2.55
Ca  0.1780  0.8859  0.3928  6 O 2.32-2.55
Ca  0.6780  0.1141  0.1072  6 O 2.32-2.55
Ca  0.8666  0.5652  0.7454  6 O 2.37-2.57
Ca  0.3666  0.4348  0.7546  6 O 2.37-2.57
Ca  0.1334  0.4348  0.2546  6 O 2.37-2.57
Ca  0.6334  0.5652  0.2454  6 O 2.37-2.57
As  0.0526  0.1292  0.7145  4 O 1.72-1.74
As  0.5526  0.8708  0.7855  4 O 1.72-1.74
As  0.9474  0.8708  0.2855  4 O 1.72-1.74
As  0.4474  0.1292  0.2145  4 O 1.72-1.74
As  0.5030  0.4620  0.5972  4 O 1.71-1.74
As  0.0030  0.5380  0.9028  4 O 1.71-1.74
As  0.4970  0.5380  0.4028  4 O 1.71-1.74
As  0.9970  0.4620  0.0972  4 O 1.71-1.74
As  0.0863  0.7727  0.5497  4 O 1.70-1.80
As  0.5863  0.2273  0.9503  4 O 1.70-1.80
As  0.9137  0.2273  0.4503  4 O 1.70-1.80
As  0.4137  0.7727  0.0497  4 O 1.70-1.80
H  0.6299  0.0950  0.5123  1 O 0.98
H  0.1299  0.9050  0.9877  1 O 0.98
H  0.3701  0.9050  0.4877  1 O 0.98
H  0.8701  0.0950  0.0123  1 O 0.98
H  0.5734  0.8945  0.5579  1 O 1.02
H  0.0734  0.1055  0.9421  1 O 1.02
H  0.4266  0.1055  0.4421  1 O 1.02
H  0.9266  0.8945  0.0579  1 O 1.02
H  0.6420  0.7662  0.6810  1 O 1.01
H  0.1420  0.2338  0.8190  1 O 1.01
H  0.3580  0.2338  0.3190  1 O 1.01
H  0.8580  0.7662  0.1810  1 O 1.01
H  0.7159  0.6423  0.6332  1 O 1.00
H  0.2159  0.3577  0.8668  1 O 1.00
H  0.2841  0.3577  0.3668  1 O 1.00
H  0.7841  0.6423  0.1332  1 O 1.00
H  0.6342  0.2683  0.6903  1 O 1.01
H  0.1342  0.7317  0.8097  1 O 1.01
H  0.3658  0.7317  0.3097  1 O 1.01
H  0.8658  0.2683  0.1903  1 O 1.01
H  0.7319  0.1022  0.7293  1 O 0.99
H  0.2319  0.8978  0.7707  1 O 0.99
H  0.2681  0.8978  0.2707  1 O 0.99
H  0.7681  0.1022  0.2293  1 O 0.99
H  0.6445  0.2728  0.8054  1 O 1.01
H  0.1445  0.7272  0.6946  1 O 1.01
H  0.3555  0.7272  0.1946  1 O 1.01
H  0.8555  0.2728  0.3054  1 O 1.01
H  0.7107  0.4133  0.8508  1 O 1.00
H  0.2107  0.5867  0.6492  1 O 1.00
H  0.2893  0.5867  0.1492  1 O 1.00
H  0.7893  0.4133  0.3508  1 O 1.00
H  0.0686  0.4279  0.6192  1 O 1.08
H  0.5686  0.5721  0.8808  1 O 1.08
H  0.9314  0.5721  0.3808  1 O 1.08
H  0.4314  0.4279  0.1192  1 O 1.08
O  0.2199  0.1391  0.7145  1 As 1.73, 1 H 1.81
O  0.7199  0.8609  0.7855  1 As 1.73, 1 H 1.81
O  0.7801  0.8609  0.2855  1 As 1.73, 1 H 1.81
O  0.2801  0.1391  0.2145  1 As 1.73, 1 H 1.81
O  0.0040  0.8605  0.7025  1 H 1.67, 1 As 1.72
O  0.5040  0.1395  0.7975  1 H 1.67, 1 As 1.72
O  0.9960  0.1395  0.2975  1 H 1.67, 1 As 1.72
O  0.4960  0.8605  0.2025  1 H 1.67, 1 As 1.72
O  0.9840  0.3223  0.6605  1 H 1.39
O  0.4840  0.6777  0.8395  1 H 1.39
O  0.0160  0.6777  0.3395  1 H 1.39
O  0.5160  0.3223  0.1605  1 H 1.39
O  0.9963  0.2105  0.7790  1 As 1.73, 1 H 1.78
O  0.4963  0.7895  0.7210  1 As 1.73, 1 H 1.78
O  0.0037  0.7895  0.2210  1 As 1.73, 1 H 1.78
O  0.5037  0.2105  0.2790  1 As 1.73, 1 H 1.78
O  0.6673  0.4604  0.5822  1 As 1.73, 1 H 1.76
O  0.1673  0.5396  0.9178  1 As 1.73, 1 H 1.76
O  0.3327  0.5396  0.4178  1 As 1.73, 1 H 1.76
O  0.8327  0.4604  0.0822  1 As 1.73, 1 H 1.76
O  0.4529  0.7421  0.5854  1 H 1.62, 1 As 1.72
O  0.9529  0.2579  0.9146  1 H 1.62, 1 As 1.72
O  0.5471  0.2579  0.4146  1 H 1.62, 1 As 1.72
O  0.0471  0.7421  0.0854  1 H 1.62, 1 As 1.72
O  0.4812  0.3328  0.6684  1 H 1.69, 1 As 1.74
O  0.9812  0.6672  0.8316  1 H 1.69, 1 As 1.74
O  0.5188  0.6672  0.3316  1 H 1.69, 1 As 1.74
O  0.0188  0.3328  0.1684  1 H 1.69, 1 As 1.74
O  0.4139  0.2865  0.5588  1 As 1.71
O  0.9139  0.7135  0.9412  1 As 1.71
O  0.5861  0.7135  0.4412  1 As 1.71
O  0.0861  0.2865  0.0588  1 As 1.71
O  0.8825  0.3050  0.5177  1 As 1.71
O  0.3825  0.6950  0.9823  1 As 1.71
O  0.1175  0.6950  0.4823  1 As 1.71
O  0.6175  0.3050  0.0177  1 As 1.71
O  0.1770  0.9919  0.5695  1 As 1.70
O  0.6770  0.0081  0.9305  1 As 1.70
O  0.8230  0.0081  0.4305  1 As 1.70
O  0.3230  0.9919  0.0695  1 As 1.70
O  0.9256  0.8074  0.5623  1 As 1.70
O  0.4256  0.1926  0.9377  1 As 1.70
O  0.0744  0.1926  0.4377  1 As 1.70
O  0.5744  0.8074  0.0623  1 As 1.70
O  0.1417  0.5129  0.5909  1 H 1.08
O  0.6417  0.4871  0.9091  1 H 1.08
O  0.8583  0.4871  0.4091  1 H 1.08
O  0.3583  0.5129  0.0909  1 H 1.08
O  0.6563  0.9747  0.5431  2 H 0.98-1.02
O  0.1563  0.0253  0.9569  2 H 0.98-1.02
O  0.3437  0.0253  0.4569  2 H 0.98-1.02
O  0.8437  0.9747  0.0431  2 H 0.98-1.02
O  0.7295  0.7506  0.6629  2 H 1.00-1.01
O  0.2295  0.2494  0.8372  2 H 1.00-1.01
O  0.2705  0.2494  0.3372  2 H 1.00-1.01
O  0.7705  0.7506  0.1628  2 H 1.00-1.01
O  0.7290  0.2328  0.6978  2 H 0.99-1.01
O  0.2290  0.7672  0.8022  2 H 0.99-1.01
O  0.2710  0.7672  0.3022  2 H 0.99-1.01
O  0.7710  0.2328  0.1978  2 H 0.99-1.01
O  0.7307  0.3406  0.8149  2 H 1.00-1.01
O  0.2307  0.6594  0.6851  2 H 1.00-1.01
O  0.2693  0.6594  0.1851  2 H 1.00-1.01
O  0.7693  0.3406  0.3149  2 H 1.00-1.01



Record 2
The following is a PBE calculation of Ca5As4H10O20 after structural relaxation, from Materials Project.

Cell: 10.6919 10.6919 10.3373 Å, 84.23 84.23 55.01°
With the nearest neighbours (Å) after each atom.
Atoms (fractional coordinates):
Ca  0.7931  0.8564  0.3610  6 O 2.34-2.51
Ca  0.1436  0.2069  0.1390  6 O 2.34-2.51
Ca  0.2069  0.1436  0.6390  6 O 2.34-2.51
Ca  0.8564  0.7931  0.8610  6 O 2.34-2.51
Ca  0.4002  0.2361  0.3149  6 O 2.32-2.51
Ca  0.7639  0.5998  0.1851  6 O 2.32-2.51
Ca  0.5998  0.7639  0.6851  6 O 2.32-2.51
Ca  0.2361  0.4002  0.8149  6 O 2.32-2.51
Ca  0.8975  0.1025  0.7500  6 O 2.32-2.43
Ca  0.1025  0.8975  0.2500  6 O 2.32-2.43
As  0.8961  0.4207  0.8766  4 O 1.72-1.74
As  0.5793  0.1039  0.6234  4 O 1.72-1.74
As  0.1039  0.5793  0.1234  4 O 1.72-1.74
As  0.4207  0.8961  0.3766  4 O 1.72-1.74
As  0.7313  0.0986  0.0837  4 O 1.70-1.77
As  0.9014  0.2687  0.4163  4 O 1.70-1.77
As  0.2687  0.9014  0.9163  4 O 1.70-1.77
As  0.0986  0.7313  0.5837  4 O 1.70-1.77
H  0.5064  0.5534  0.6490  1 O 0.98
H  0.4466  0.4936  0.8510  1 O 0.98
H  0.4936  0.4466  0.3510  1 O 0.98
H  0.5534  0.5064  0.1490  1 O 0.98
H  0.6599  0.4662  0.7329  1 O 1.00
H  0.5338  0.3401  0.7671  1 O 1.00
H  0.3401  0.5338  0.2671  1 O 1.00
H  0.4662  0.6599  0.2329  1 O 1.00
H  0.5667  0.8453  0.9771  1 O 1.01
H  0.1547  0.4333  0.5229  1 O 1.01
H  0.4333  0.1547  0.0229  1 O 1.01
H  0.8453  0.5667  0.4771  1 O 1.01
H  0.6101  0.9205  0.0762  1 O 0.99
H  0.0795  0.3899  0.4238  1 O 0.99
H  0.3899  0.0795  0.9238  1 O 0.99
H  0.9205  0.6101  0.5762  1 O 0.99
H  0.7286  0.3068  0.9875  1 O 1.02
H  0.6932  0.2714  0.5125  1 O 1.02
H  0.2714  0.6932  0.0125  1 O 1.02
H  0.3068  0.7286  0.4875  1 O 1.02
O  0.5942  0.5525  0.6699  2 H 0.98-1.00
O  0.4475  0.4058  0.8301  2 H 0.98-1.00
O  0.4058  0.4475  0.3301  2 H 0.98-1.00
O  0.5525  0.5942  0.1699  2 H 0.98-1.00
O  0.6522  0.8280  0.0268  2 H 0.99-1.01
O  0.1720  0.3478  0.4732  2 H 0.99-1.01
O  0.3478  0.1720  0.9732  2 H 0.99-1.01
O  0.8280  0.6522  0.5268  2 H 0.99-1.01
O  0.7972  0.3430  0.8471  2 H 1.67-1.76, 1 As 1.74
O  0.6570  0.2028  0.6529  2 H 1.67-1.76, 1 As 1.74
O  0.2028  0.6570  0.1529  2 H 1.67-1.76, 1 As 1.74
O  0.3430  0.7972  0.3471  2 H 1.67-1.76, 1 As 1.74
O  0.0743  0.3243  0.7984  1 As 1.72
O  0.6757  0.9257  0.7016  1 As 1.72
O  0.9257  0.6757  0.2016  1 As 1.72
O  0.3243  0.0743  0.2984  1 As 1.72
O  0.7981  0.6103  0.8253  1 As 1.72
O  0.3897  0.2019  0.6747  1 As 1.72
O  0.2019  0.3897  0.1747  1 As 1.72
O  0.6103  0.7981  0.3253  1 As 1.72
O  0.9190  0.4047  0.0416  1 As 1.72
O  0.5953  0.0810  0.4584  1 As 1.72
O  0.0810  0.5953  0.9584  1 As 1.72
O  0.4047  0.9190  0.5416  1 As 1.72
O  0.8087  0.0204  0.9360  1 As 1.71
O  0.9796  0.1913  0.5640  1 As 1.71
O  0.1913  0.9796  0.0640  1 As 1.71
O  0.0204  0.8087  0.4360  1 As 1.71
O  0.5677  0.1062  0.1298  2 H 1.70-1.90, 1 As 1.72
O  0.8938  0.4323  0.3702  2 H 1.70-1.90, 1 As 1.72
O  0.4323  0.8938  0.8702  2 H 1.70-1.90, 1 As 1.72
O  0.1062  0.5677  0.6298  2 H 1.70-1.90, 1 As 1.72
O  0.8530  0.9957  0.2051  1 As 1.70
O  0.0043  0.1470  0.2949  1 As 1.70
O  0.1470  0.0043  0.7949  1 As 1.70
O  0.9957  0.8530  0.7051  1 As 1.70
O  0.6819  0.2879  0.0716  1 H 1.02
O  0.7121  0.3181  0.4284  1 H 1.02
O  0.3181  0.7121  0.9284  1 H 1.02
O  0.2879  0.6819  0.5716  1 H 1.02



Record 3
The following is a PBE calculation of CaAsHO5 after structural relaxation, from Materials Project.

Cell: 6.8291 7.9327 16.3229 Å, 90.00 90.00 90.00°
With the nearest neighbours (Å) after each atom.
Atoms (fractional coordinates):
Ca  0.8729  0.6827  0.0476  6 O 2.33-2.53
Ca  0.6271  0.8173  0.5476  6 O 2.33-2.53
Ca  0.3729  0.8173  0.9524  6 O 2.33-2.53
Ca  0.1271  0.6827  0.4524  6 O 2.33-2.53
Ca  0.1271  0.3173  0.9524  6 O 2.33-2.53
Ca  0.3729  0.1827  0.4524  6 O 2.33-2.53
Ca  0.6271  0.1827  0.0476  6 O 2.33-2.53
Ca  0.8729  0.3173  0.5476  6 O 2.33-2.53
As  0.8716  0.0656  0.3864  4 O 1.70-1.75
As  0.6284  0.4344  0.8864  4 O 1.70-1.75
As  0.3716  0.4344  0.6136  4 O 1.70-1.75
As  0.1284  0.0656  0.1136  4 O 1.70-1.75
As  0.1284  0.9344  0.6136  4 O 1.70-1.75
As  0.3716  0.5656  0.1136  4 O 1.70-1.75
As  0.6284  0.5656  0.3864  4 O 1.70-1.75
As  0.8716  0.9344  0.8864  4 O 1.70-1.75
H  0.6786  0.2416  0.3131  1 O 1.01
H  0.8214  0.2584  0.8131  1 O 1.01
H  0.1786  0.2584  0.6869  1 O 1.01
H  0.3214  0.2416  0.1869  1 O 1.01
H  0.3214  0.7584  0.6869  1 O 1.01
H  0.1786  0.7416  0.1869  1 O 1.01
H  0.8214  0.7416  0.3131  1 O 1.01
H  0.6786  0.7584  0.8131  1 O 1.01
O  0.6994  0.0584  0.4641  1 As 1.73
O  0.8006  0.4416  0.9641  1 As 1.73
O  0.1994  0.4416  0.5359  1 As 1.73
O  0.3006  0.0584  0.0359  1 As 1.73
O  0.3006  0.9416  0.5359  1 As 1.73
O  0.1994  0.5584  0.0359  1 As 1.73
O  0.8006  0.5584  0.4641  1 As 1.73
O  0.6994  0.9416  0.9641  1 As 1.73
O  0.0391  0.2071  0.4251  1 As 1.72
O  0.4609  0.2929  0.9251  1 As 1.72
O  0.5391  0.2929  0.5749  1 As 1.72
O  0.9609  0.2071  0.0749  1 As 1.72
O  0.9609  0.7929  0.5749  1 As 1.72
O  0.5391  0.7071  0.0749  1 As 1.72
O  0.4609  0.7071  0.4251  1 As 1.72
O  0.0391  0.7929  0.9251  1 As 1.72
O  0.9690  0.8734  0.3649  1 H 1.68, 1 As 1.70
O  0.5310  0.6266  0.8649  1 H 1.68, 1 As 1.70
O  0.4690  0.6266  0.6351  1 H 1.68, 1 As 1.70
O  0.0310  0.8734  0.1351  1 H 1.68, 1 As 1.70
O  0.0310  0.1266  0.6351  1 H 1.68, 1 As 1.70
O  0.4690  0.3734  0.1351  1 H 1.68, 1 As 1.70
O  0.5310  0.3734  0.3649  1 H 1.68, 1 As 1.70
O  0.9690  0.1266  0.8649  1 H 1.68, 1 As 1.70
O  0.7604  0.1403  0.2967  1 H 1.01
O  0.7396  0.3597  0.7967  1 H 1.01
O  0.2604  0.3597  0.7033  1 H 1.01
O  0.2396  0.1403  0.2033  1 H 1.01
O  0.2396  0.8597  0.7033  1 H 1.01
O  0.2604  0.6403  0.2033  1 H 1.01
O  0.7396  0.6403  0.2967  1 H 1.01
O  0.7604  0.8597  0.7967  1 H 1.01
O  0.8879  0.4615  0.1590  1 O 2.49, 1 Ca 2.53
O  0.6121  0.0385  0.6590  1 O 2.49, 1 Ca 2.53
O  0.3879  0.0385  0.8410  1 O 2.49, 1 Ca 2.53
O  0.1121  0.4615  0.3410  1 O 2.49, 1 Ca 2.53
O  0.1121  0.5385  0.8410  1 O 2.49, 1 Ca 2.53
O  0.3879  0.9615  0.3410  1 O 2.49, 1 Ca 2.53
O  0.6121  0.9615  0.1590  1 O 2.49, 1 Ca 2.53
O  0.8879  0.5385  0.6590  1 O 2.49, 1 Ca 2.53



no.,uncorrected energy (eV/f.u.),V (A^3/atom)
1,-187.0,10.94
2,-230.0,12.33
3,-45.0,13.82